(1)
# Na3MgMoO3F3 (PBE with a Hubbard U, relaxed)
# ΔE to the lowest computed polymorph	20	meV per atom
# calculated density	3.4	g/cm3
# total moment	2.000	Bohr magnetons per cell
# energy of formation from the pure elements	-2.524	eV/atom
data_Na3MgMoO3F3
_cell_length_a 5.672
_cell_length_b 5.716
_cell_length_c 5.738
_cell_angle_alpha 106.85
_cell_angle_beta 117.69
_cell_angle_gamma 102.40
_symmetry_space_group_name_H-M 'P 1'
_symmetry_Int_Tables_number 1
_symmetry_space_group_name_Hall 'P 1'
loop_
_atom_site_label
_atom_site_type_symbol
_atom_site_fract_x
_atom_site_fract_y
_atom_site_fract_z
Na1 Na 0.000 0.000 0.000
Na2 Na 0.174 0.591 0.343
Na3 Na 0.741 0.401 0.513
Mg1 Mg 0.595 0.762 0.162
Mo1 Mo 0.398 0.191 0.780
O1 O 0.344 0.402 0.084
O2 O 0.532 0.943 0.901
O3 O 0.724 0.519 0.930
F1 F 0.070 0.253 0.453
F2 F 0.433 0.977 0.374
F3 F 0.947 0.836 0.552

(2)
# Na3MgMoO3F3 (PBE with a Hubbard U, relaxed)
# ΔE to the lowest computed polymorph	123	meV per atom
# calculated density	3.3	g/cm3
# total moment	6.000	Bohr magnetons per cell
# energy of formation from the pure elements	-2.420	eV/atom
data_Na3MgMoO3F3
_cell_length_a 5.6483
_cell_length_b 5.6483
_cell_length_c 15.9106
_cell_angle_alpha 90.00
_cell_angle_beta 90.00
_cell_angle_gamma 120.00
_symmetry_space_group_name_H-M 'R 3'
_symmetry_Int_Tables_number 146
_symmetry_space_group_name_Hall 'R 3'
loop_
_atom_site_label
_atom_site_type_symbol
_atom_site_fract_x
_atom_site_fract_y
_atom_site_fract_z
Na1 Na 0.0000 0.0000 0.0000
Na2 Na 0.0000 0.0000 0.1699
Na3 Na 0.0000 0.0000 0.7302
Mg1 Mg 0.0000 0.0000 0.3448
Mo1 Mo 0.0000 0.0000 0.5089
O1 O 0.0737 0.3770 0.1011
F1 F 0.0037 0.6114 0.9372

(3)
# Na3MgMoO3F3 (PBE with a Hubbard U, relaxed)
# ΔE to the lowest computed polymorph	71	meV per atom
# calculated density	3.0	g/cm3
# total moment	2.000	Bohr magnetons per cell
# energy of formation from the pure elements	-2.473	eV/atom
data_Na3MgMoO3F3
_cell_length_a 5.563
_cell_length_b 5.790
_cell_length_c 6.386
_cell_angle_alpha 94.54
_cell_angle_beta 114.03
_cell_angle_gamma 115.21
_symmetry_space_group_name_H-M 'P 1'
_symmetry_Int_Tables_number 1
_symmetry_space_group_name_Hall 'P 1'
loop_
_atom_site_label
_atom_site_type_symbol
_atom_site_fract_x
_atom_site_fract_y
_atom_site_fract_z
Na1 Na 0.000 0.000 0.000
Na2 Na 0.086 0.509 0.744
Na3 Na 0.739 0.359 0.207
Mg1 Mg 0.448 0.724 0.405
Mo1 Mo 0.332 0.149 0.582
O1 O 0.181 0.338 0.377
O2 O 0.316 0.242 0.859
O3 O 0.588 0.131 0.466
F1 F 0.103 0.660 0.089
F2 F 0.487 0.849 0.742
F3 F 0.825 0.733 0.463

Q: Which of these has the lowest energy of formation from the pure elements?
A: number 1

Copy entry 1 word for word.
# Na3MgMoO3F3 (PBE with a Hubbard U, relaxed)
# ΔE to the lowest computed polymorph	20	meV per atom
# calculated density	3.4	g/cm3
# total moment	2.000	Bohr magnetons per cell
# energy of formation from the pure elements	-2.524	eV/atom
data_Na3MgMoO3F3
_cell_length_a 5.672
_cell_length_b 5.716
_cell_length_c 5.738
_cell_angle_alpha 106.85
_cell_angle_beta 117.69
_cell_angle_gamma 102.40
_symmetry_space_group_name_H-M 'P 1'
_symmetry_Int_Tables_number 1
_symmetry_space_group_name_Hall 'P 1'
loop_
_atom_site_label
_atom_site_type_symbol
_atom_site_fract_x
_atom_site_fract_y
_atom_site_fract_z
Na1 Na 0.000 0.000 0.000
Na2 Na 0.174 0.591 0.343
Na3 Na 0.741 0.401 0.513
Mg1 Mg 0.595 0.762 0.162
Mo1 Mo 0.398 0.191 0.780
O1 O 0.344 0.402 0.084
O2 O 0.532 0.943 0.901
O3 O 0.724 0.519 0.930
F1 F 0.070 0.253 0.453
F2 F 0.433 0.977 0.374
F3 F 0.947 0.836 0.552